Entry 1:
Mn2MoP12 | GGA-PBE | relaxed

```
Mn2MoP12
1.0
-0.7142 -8.4631 -0.3143
4.7005 -7.0215 0.9149
-0.9134 -4.6441 9.4706
Mn Mo P
4 2 24
Direct
0.3722 0.9887 0.4544
0.0113 0.6278 0.0456
0.6278 0.0113 0.5456
0.9887 0.3722 0.9544
0.3049 0.6951 0.2500
0.6951 0.3049 0.7500
0.5968 0.9489 0.0755
0.0511 0.4032 0.4245
0.4032 0.0511 0.9245
0.9489 0.5968 0.5755
0.5786 0.2992 0.1661
0.7008 0.4214 0.3339
0.9755 0.3290 0.7600
0.6710 0.0245 0.7400
0.0245 0.6710 0.2400
0.3290 0.9755 0.2600
0.0105 0.9227 0.9260
0.0773 0.9895 0.5740
0.9895 0.0773 0.0740
0.9227 0.0105 0.4260
0.3322 0.4352 0.5030
0.5648 0.6678 0.9970
0.6678 0.5648 0.4970
0.4352 0.3322 0.0030
0.9971 0.6472 0.8353
0.3528 0.0029 0.6647
0.0029 0.3528 0.1647
0.6472 0.9971 0.3353
0.2992 0.5786 0.6661
0.4214 0.7008 0.8339
```

Results
Space group ... C2/c (15)
Calculated formation energy ... -5.30 eV per formula unit


Entry 2:
Mg14Si5O24 | GGA-PBE | relaxed

```
Mg14Si5O24
1.0
-2.6656 4.6695 2.5273
-9.0504 -4.4837 -1.2614
1.2911 -6.2251 12.8633
Mg Si O
28 10 48
Direct
0.7561 0.4189 0.6696
0.7561 0.5811 0.3304
0.2439 0.9189 0.8304
0.2439 0.0811 0.1696
0.2439 0.5811 0.3304
0.2439 0.4189 0.6696
0.7561 0.0811 0.1696
0.7561 0.9189 0.8304
0.0000 0.3206 0.3240
0.0000 0.6794 0.6760
0.0000 0.8206 0.1760
0.0000 0.1794 0.8240
0.7597 0.2466 0.5024
0.7597 0.7534 0.4976
0.2403 0.7466 0.9976
0.2403 0.2534 0.0024
0.2403 0.7534 0.4976
0.2403 0.2466 0.5024
0.7597 0.2534 0.0024
0.7597 0.7466 0.9976
0.5000 0.5000 0.5000
0.5000 0.0000 0.0000
0.5000 0.8545 0.3254
0.5000 0.1455 0.6746
0.5000 0.3545 0.1746
0.5000 0.6455 0.8254
0.5000 0.0000 0.5000
0.5000 0.5000 0.0000
0.0000 0.4978 0.1247
0.0000 0.5022 0.8753
0.0000 0.9978 0.3753
0.0000 0.0022 0.6247
0.5000 0.6741 0.1886
0.5000 0.3259 0.8114
0.5000 0.1741 0.3114
0.5000 0.8259 0.6886
0.0000 0.5000 0.5000
0.0000 0.0000 0.0000
0.7177 0.2472 0.2621
0.7177 0.7528 0.7379
0.2823 0.7472 0.2379
0.2823 0.2528 0.7621
0.2823 0.7528 0.7379
0.2823 0.2472 0.2621
0.7177 0.2528 0.7621
0.7177 0.7472 0.2379
0.7852 0.0748 0.9264
0.7852 0.9252 0.0736
0.2148 0.5748 0.5736
0.2148 0.4252 0.4264
0.2148 0.9252 0.0736
0.2148 0.0748 0.9264
0.7852 0.4252 0.4264
0.7852 0.5748 0.5736
0.7656 0.0788 0.5874
0.7656 0.9212 0.4126
0.2344 0.5788 0.9126
0.2344 0.4212 0.0874
0.2344 0.9212 0.4126
0.2344 0.0788 0.5874
0.7656 0.4212 0.0874
0.7656 0.5788 0.9126
0.5000 0.9717 0.7402
0.5000 0.0283 0.2598
0.5000 0.4717 0.7598
0.5000 0.5283 0.2402
0.5000 0.6695 0.0750
0.5000 0.3305 0.9250
0.5000 0.1695 0.4250
0.5000 0.8305 0.5750
0.5000 0.6723 0.4141
0.5000 0.3277 0.5859
0.5000 0.1723 0.0859
0.5000 0.8277 0.9141
0.0000 0.9957 0.2584
0.0000 0.0043 0.7416
0.0000 0.6530 0.0860
0.0000 0.3470 0.9140
0.0000 0.1530 0.4140
0.0000 0.8470 0.5860
0.0000 0.6464 0.4242
0.0000 0.3536 0.5758
0.0000 0.1464 0.0758
0.0000 0.8536 0.9242
0.0000 0.5043 0.7584
0.0000 0.4957 0.2416
```

Results
Space group ... Pbam (55)
Calculated formation energy ... -136.30 eV per formula unit


Entry 3:
LiAl4Cd2O8 | GGA-PBE | relaxed

```
LiAl4Cd2O8
1.0
-4.4224 -4.4224 0.0000
-4.4224 0.0000 -4.4224
0.0000 -4.4224 -4.4224
Li Al Cd O
1 4 2 8
Direct
0.3750 0.3750 0.3750
0.5109 0.5109 0.9672
0.5109 0.9672 0.5109
0.9672 0.5109 0.5109
0.5109 0.5109 0.5109
0.1250 0.1250 0.1250
0.8750 0.8750 0.8750
0.2681 0.2681 0.6957
0.2681 0.6957 0.2681
0.6957 0.2681 0.2681
0.2681 0.2681 0.2681
0.7274 0.7274 0.3177
0.7274 0.3177 0.7274
0.3177 0.7274 0.7274
0.7274 0.7274 0.7274
```

Results
Energy relative to the lowest polymorph listed for this composition ... 341 kJ/mol of formula units
Space group ... F-43m (216)
Calculated formation energy ... -34.52 eV per formula unit


Entry 4:
Li2AgF4 | GGA-PBE | relaxed

```
Li2AgF4
1.0
-1.6720 -2.0837 -1.6856
3.7168 0.0978 -3.8077
7.8810 -7.7036 1.7054
Li Ag F
4 2 8
Direct
0.1563 0.8212 0.9427
0.1563 0.1788 0.5573
0.8437 0.8212 0.4427
0.8437 0.1788 0.0573
0.3487 0.5000 0.2500
0.6513 0.5000 0.7500
0.6590 0.7106 0.8757
0.8515 0.2082 0.3956
0.6590 0.2894 0.6243
0.8515 0.7918 0.1044
0.1485 0.2082 0.8956
0.3410 0.7106 0.3757
0.1485 0.7918 0.6044
0.3410 0.2894 0.1243
```

Results
Energy relative to the lowest polymorph listed for this composition ... 23 kJ/mol of formula units
Space group ... P2/c (13)
Calculated formation energy ... -16.49 eV per formula unit


Entry 5:
MgO | GGA-PBE | relaxed

```
MgO
1.0
-6.3273 5.5519 5.5865
3.5366 -3.5783 9.6100
6.0272 6.8877 -0.5570
Mg O
40 40
Direct
0.7172 0.6572 0.0057
0.1817 0.6429 0.7261
0.6987 0.3576 0.0630
0.5501 0.9108 0.5795
0.3547 0.6030 0.5076
0.2742 0.7698 0.1031
0.5058 0.2141 0.8954
0.5958 0.6295 0.6340
0.1327 0.3943 0.3833
0.8156 0.8386 0.7413
0.2796 0.3702 0.7108
0.2793 0.8710 0.5615
0.9448 0.5979 0.6148
0.1374 0.0155 0.2454
0.0064 0.5902 0.9286
0.8965 0.7739 0.1534
0.9787 0.3410 0.0427
0.8728 0.0304 0.0740
0.7330 0.4542 0.7999
0.4026 0.9621 0.2970
0.8904 0.0363 0.5797
0.7309 0.9068 0.3529
0.6072 0.9321 0.0208
0.4149 0.6016 0.8982
0.6012 0.2886 0.6149
0.6374 0.1954 0.2404
0.0949 0.7662 0.3497
0.3882 0.8638 0.8522
0.3123 0.2482 0.1249
0.3594 0.1928 0.4665
0.5058 0.4220 0.3216
0.2314 0.5261 0.1760
0.0257 0.3128 0.6600
0.8180 0.3513 0.4466
0.3571 0.0883 0.7316
0.0806 0.8773 0.8558
0.5249 0.7099 0.2486
0.7431 0.5795 0.3845
0.1378 0.1100 0.9022
0.8452 0.1809 0.8395
0.7840 0.8225 0.9733
0.5118 0.2917 0.1039
0.0791 0.4869 0.7487
0.7018 0.0235 0.1830
0.4441 0.7751 0.6516
0.5341 0.5954 0.4131
0.5524 0.8619 0.3662
0.7696 0.6889 0.5919
0.2416 0.8616 0.3041
0.9924 0.7257 0.7839
0.0781 0.6690 0.1393
0.8504 0.4949 0.9763
0.3763 0.0176 0.5267
0.1409 0.3699 0.1555
0.2887 0.1211 0.2609
0.9507 0.4743 0.4425
0.2195 0.9679 0.7613
0.6748 0.2921 0.8410
0.3512 0.5296 0.7057
0.3010 0.1961 0.9168
0.0713 0.9924 0.0468
0.8439 0.2141 0.0697
0.4499 0.8502 0.0750
0.9434 0.8994 0.3188
0.6018 0.5971 0.8547
0.5342 0.2518 0.4119
0.9150 0.0013 0.7937
0.7358 0.9512 0.5690
0.3876 0.6034 0.1150
0.1759 0.7142 0.5315
0.7399 0.6923 0.2193
0.1856 0.2837 0.5415
0.7090 0.3984 0.2746
0.5216 0.0015 0.8386
0.6957 0.4413 0.5944
0.3036 0.4687 0.3627
0.2522 0.7438 0.8926
0.4360 0.2442 0.6899
0.0153 0.2513 0.8508
0.8786 0.2136 0.5668
```

Results
Space group ... P1 (1)
Calculated formation energy ... -5.42 eV per formula unit


Entry 6:
Ca2YBiO6 | GGA-PBE | relaxed

```
Ca2YBiO6
1.0
8.3872 0.0000 0.0000
0.0000 8.3872 0.0000
0.0000 0.0000 8.3872
Ca Y Bi O
8 4 4 24
Direct
0.5000 0.5000 0.5000
0.0000 0.0000 0.0000
0.0000 0.0000 0.5000
0.0000 0.5000 0.0000
0.5000 0.0000 0.0000
0.5000 0.5000 0.0000
0.5000 0.0000 0.5000
0.0000 0.5000 0.5000
0.2500 0.2500 0.2500
0.2500 0.7500 0.7500
0.7500 0.2500 0.7500
0.7500 0.7500 0.2500
0.7500 0.7500 0.7500
0.7500 0.2500 0.2500
0.2500 0.7500 0.2500
0.2500 0.2500 0.7500
0.2044 0.3106 0.5075
0.2044 0.6894 0.4925
0.7956 0.3106 0.4925
0.7956 0.6894 0.5075
0.3106 0.5075 0.2044
0.6894 0.4925 0.2044
0.3106 0.4925 0.7956
0.6894 0.5075 0.7956
0.5075 0.2044 0.3106
0.4925 0.2044 0.6894
0.4925 0.7956 0.3106
0.5075 0.7956 0.6894
0.2956 0.1894 0.9925
0.2956 0.8106 0.0075
0.7044 0.1894 0.0075
0.7044 0.8106 0.9925
0.1894 0.9925 0.2956
0.8106 0.0075 0.2956
0.1894 0.0075 0.7044
0.8106 0.9925 0.7044
0.9925 0.2956 0.1894
0.0075 0.2956 0.8106
0.0075 0.7044 0.1894
0.9925 0.7044 0.8106
```

Results
Space group ... Pn-3 (201)
Calculated formation energy ... -27.85 eV per formula unit


Entry 7:
Na3CaMgPS2O12 | GGA-PBE | relaxed

```
Na3CaMgPS2O12
1.0
9.1372 0.0032 0.0023
-4.5658 7.9365 0.0170
0.0061 0.0536 22.8450
Na Ca Mg P S O
18 6 6 6 12 72
Direct
0.6258 0.9991 0.2541
0.0086 0.6440 0.2448
0.6390 0.6469 0.7417
0.3740 0.0017 0.7522
0.3136 0.3405 0.5869
0.6686 0.9590 0.5856
0.2903 0.9585 0.0860
0.0266 0.3402 0.0882
0.9817 0.6750 0.9234
0.6854 0.0269 0.9094
0.3382 0.0285 0.4072
0.6955 0.6759 0.4203
0.9800 0.9886 0.4996
0.0077 0.9886 0.0014
0.6606 0.3154 0.8321
0.6566 0.3174 0.3312
0.3354 0.6614 0.1694
0.3274 0.6634 0.6662
0.0046 0.0109 0.8452
0.6588 0.3371 0.9883
0.6786 0.3367 0.4835
0.3369 0.6681 0.0190
0.3344 0.6689 0.5152
0.3299 0.6638 0.8151
0.0054 0.0100 0.3458
0.9872 0.9891 0.6510
0.0015 0.9871 0.1543
0.6766 0.3373 0.6811
0.6584 0.3366 0.1842
0.3367 0.6729 0.3168
0.2992 0.0003 0.2508
0.6994 0.0086 0.7462
0.6728 0.6358 0.5862
0.9627 0.6364 0.0884
0.3333 0.9722 0.9166
0.6394 0.9644 0.4118
0.7064 0.7065 0.2513
0.0004 0.2958 0.2484
0.3073 0.2973 0.7427
0.9923 0.6987 0.7469
0.9650 0.3247 0.5881
0.3637 0.0398 0.5869
0.6772 0.0404 0.0889
0.3582 0.3228 0.0898
0.6390 0.6674 0.9141
0.0278 0.3617 0.9195
0.3247 0.3650 0.4134
0.0378 0.6753 0.4103
0.2150 0.0208 0.3066
0.8100 0.7829 0.3047
0.9746 0.1844 0.2990
0.2322 0.1988 0.7964
0.9684 0.7651 0.8034
0.7865 0.0249 0.8058
0.7980 0.9875 0.6952
0.2029 0.2106 0.6910
0.0164 0.8173 0.6990
0.7889 0.8194 0.2004
0.0211 0.2199 0.1938
0.1872 0.9724 0.1965
0.8760 0.3431 0.6383
0.4769 0.1295 0.6368
0.6533 0.5202 0.6387
0.8637 0.5185 0.1402
0.6530 0.1313 0.1383
0.4678 0.3414 0.1394
0.4263 0.2967 0.0347
0.8765 0.5639 0.0289
0.7009 0.1341 0.0331
0.4359 0.1355 0.5316
0.6867 0.5601 0.5275
0.8679 0.2983 0.5336
0.5484 0.6783 0.9655
0.1210 0.4384 0.9739
0.3176 0.8675 0.9724
0.5669 0.8645 0.4701
0.3040 0.4296 0.4704
0.1349 0.6932 0.4638
0.1219 0.6543 0.3582
0.5202 0.8676 0.3600
0.3418 0.4794 0.3651
0.1179 0.4631 0.8678
0.3494 0.8840 0.8609
0.5463 0.6514 0.8594
0.0243 0.8319 0.4062
0.8156 0.9789 0.4043
0.1800 0.1906 0.4065
0.9986 0.1868 0.9165
0.1684 0.9811 0.9147
0.8069 0.8260 0.9136
0.9871 0.1733 0.5935
0.1955 0.0254 0.5941
0.8254 0.8182 0.5911
0.9920 0.8186 0.0934
0.8317 0.0270 0.0964
0.1855 0.1714 0.0958
0.6686 0.1603 0.7397
0.4794 0.3167 0.7387
0.8382 0.5314 0.7394
0.6945 0.5387 0.2440
0.8444 0.3129 0.2450
0.4827 0.1534 0.2444
0.6694 0.5224 0.9172
0.8595 0.3522 0.9199
0.4983 0.1452 0.9184
0.6442 0.1368 0.4145
0.4845 0.3544 0.4145
0.8625 0.5282 0.4134
0.3374 0.4744 0.0866
0.1418 0.6486 0.0890
0.5222 0.8712 0.0864
0.3503 0.8709 0.5840
0.5062 0.6484 0.5865
0.1374 0.4760 0.5843
0.3154 0.8353 0.2554
0.5350 0.6878 0.2567
0.1492 0.4687 0.2552
0.3280 0.4696 0.7460
0.1469 0.6836 0.7483
0.5210 0.8422 0.7459
```

Results
Space group ... P1 (1)
Calculated formation energy ... -50.74 eV per formula unit